(1)
# EuCdB5O10 (GGA-PBE, optimized geometry)
# Uncorrected energy ... -537.54 eV per cell
data_EuCdB5O10
_space_group_name_H-M_alt 'P 1'
_space_group_IT_number 1
_cell_length_a 7.9860
_cell_length_b 8.7582
_cell_length_c 12.9263
_cell_angle_alpha 48.71
_cell_angle_beta 90.00
_cell_angle_gamma 90.00
loop_
_space_group_symop_operation_xyz
'x,y,z'
loop_
_atom_site_label
_atom_site_type_symbol
_atom_site_fract_x
_atom_site_fract_y
_atom_site_fract_z
Eu1 Eu 0.1762 0.9586 0.2376
Eu2 Eu 0.6762 0.0414 0.2624
Eu3 Eu 0.8238 0.0414 0.7624
Eu4 Eu 0.3238 0.9586 0.7376
Cd1 Cd 0.4040 0.4714 0.1273
Cd2 Cd 0.9040 0.5286 0.3727
Cd3 Cd 0.5960 0.5286 0.8727
Cd4 Cd 0.0960 0.4714 0.6273
B1 B 0.5730 0.6674 0.2456
B2 B 0.0730 0.3326 0.2544
B3 B 0.4270 0.3326 0.7544
B4 B 0.9270 0.6674 0.7456
B5 B 0.3220 0.0774 0.4067
B6 B 0.8220 0.9226 0.0933
B7 B 0.6780 0.9226 0.5933
B8 B 0.1780 0.0774 0.9067
B9 B 0.5303 0.2804 0.4399
B10 B 0.0303 0.7196 0.0601
B11 B 0.4697 0.7196 0.5601
B12 B 0.9697 0.2804 0.9399
B13 B 0.6074 0.8526 0.9896
B14 B 0.1074 0.1474 0.5104
B15 B 0.3926 0.1474 0.0104
B16 B 0.8926 0.8526 0.4896
B17 B 0.3265 0.5315 0.4031
B18 B 0.8265 0.4685 0.0969
B19 B 0.6735 0.4685 0.5969
B20 B 0.1735 0.5315 0.9031
O1 O 0.7050 0.8142 0.2153
O2 O 0.2050 0.1858 0.2847
O3 O 0.2950 0.1858 0.7847
O4 O 0.7950 0.8142 0.7153
O5 O 0.5325 0.7099 0.1159
O6 O 0.0325 0.2901 0.3841
O7 O 0.4675 0.2901 0.8841
O8 O 0.9675 0.7099 0.6159
O9 O 0.4193 0.6933 0.2946
O10 O 0.9193 0.3067 0.2054
O11 O 0.5807 0.3067 0.7054
O12 O 0.0807 0.6933 0.7946
O13 O 0.6386 0.4588 0.3483
O14 O 0.1386 0.5412 0.1517
O15 O 0.3614 0.5412 0.6517
O16 O 0.8614 0.4588 0.8483
O17 O 0.4640 0.2202 0.3623
O18 O 0.9640 0.7798 0.1377
O19 O 0.5360 0.7798 0.6377
O20 O 0.0360 0.2202 0.8623
O21 O 0.3852 0.8972 0.4306
O22 O 0.8852 0.1028 0.0694
O23 O 0.6148 0.1028 0.5694
O24 O 0.1148 0.8972 0.9306
O25 O 0.2333 0.0234 0.5264
O26 O 0.7333 0.9766 0.9736
O27 O 0.7667 0.9766 0.4736
O28 O 0.2667 0.0234 0.0264
O29 O 0.3847 0.3345 0.4853
O30 O 0.8847 0.6655 0.0147
O31 O 0.6153 0.6655 0.5147
O32 O 0.1153 0.3345 0.9853
O33 O 0.6727 0.4141 0.0801
O34 O 0.1727 0.5859 0.4199
O35 O 0.3273 0.5859 0.9199
O36 O 0.8273 0.4141 0.5801
O37 O 0.4359 0.1263 0.1214
O38 O 0.9359 0.8737 0.3786
O39 O 0.5641 0.8737 0.8786
O40 O 0.0641 0.1263 0.6214

(2)
# Sb2O3 (GGA-PBE, optimized geometry)
# Uncorrected energy ... -119.20 eV per cell
data_Sb2O3
_space_group_name_H-M_alt 'P 1'
_space_group_IT_number 1
_cell_length_a 5.1929
_cell_length_b 5.5155
_cell_length_c 12.6227
_cell_angle_alpha 90.00
_cell_angle_beta 90.00
_cell_angle_gamma 90.00
loop_
_space_group_symop_operation_xyz
'x,y,z'
loop_
_atom_site_label
_atom_site_type_symbol
_atom_site_fract_x
_atom_site_fract_y
_atom_site_fract_z
Sb1 Sb 0.9468 0.1768 0.8729
Sb2 Sb 0.4468 0.3232 0.1271
Sb3 Sb 0.5532 0.1768 0.6271
Sb4 Sb 0.0532 0.3232 0.3729
Sb5 Sb 0.0532 0.8232 0.1271
Sb6 Sb 0.5532 0.6768 0.8729
Sb7 Sb 0.4468 0.8232 0.3729
Sb8 Sb 0.9468 0.6768 0.6271
O1 O 0.7500 0.0155 0.7500
O2 O 0.2500 0.4845 0.2500
O3 O 0.2500 0.9845 0.2500
O4 O 0.7500 0.5155 0.7500
O5 O 0.8500 0.8537 0.9420
O6 O 0.3500 0.6463 0.0580
O7 O 0.6500 0.8537 0.5580
O8 O 0.1500 0.6463 0.4420
O9 O 0.1500 0.1463 0.0580
O10 O 0.6500 0.3537 0.9420
O11 O 0.3500 0.1463 0.4420
O12 O 0.8500 0.3537 0.5580

(3)
# NdNiSb (GGA-PBE, optimized geometry)
# Uncorrected energy ... -34.31 eV per cell
data_NdNiSb
_space_group_name_H-M_alt 'P 1'
_space_group_IT_number 1
_cell_length_a 4.3782
_cell_length_b 4.3782
_cell_length_c 8.2119
_cell_angle_alpha 90.00
_cell_angle_beta 90.00
_cell_angle_gamma 120.00
loop_
_space_group_symop_operation_xyz
'x,y,z'
loop_
_atom_site_label
_atom_site_type_symbol
_atom_site_fract_x
_atom_site_fract_y
_atom_site_fract_z
Nd1 Nd 0.0000 0.0000 0.0000
Nd2 Nd 0.0000 0.0000 0.5000
Ni1 Ni 0.3333 0.6667 0.2500
Ni2 Ni 0.6667 0.3333 0.7500
Sb1 Sb 0.3333 0.6667 0.7500
Sb2 Sb 0.6667 0.3333 0.2500

(4)
# K2AlPCO7 (GGA-PBE, optimized geometry)
# Uncorrected energy ... -163.05 eV per cell
data_K2AlPCO7
_space_group_name_H-M_alt 'P 1'
_space_group_IT_number 1
_cell_length_a 6.6244
_cell_length_b 5.4584
_cell_length_c 9.6119
_cell_angle_alpha 89.92
_cell_angle_beta 90.00
_cell_angle_gamma 90.00
loop_
_space_group_symop_operation_xyz
'x,y,z'
loop_
_atom_site_label
_atom_site_type_symbol
_atom_site_fract_x
_atom_site_fract_y
_atom_site_fract_z
K1 K 0.0281 0.2444 0.7573
K2 K 0.4719 0.2444 0.7573
K3 K 0.5281 0.7556 0.2427
K4 K 0.9719 0.7556 0.2427
Al1 Al 0.7500 0.7654 0.6427
Al2 Al 0.2500 0.2346 0.3573
P1 P 0.2500 0.7309 0.5622
P2 P 0.7500 0.2691 0.4378
C1 C 0.7500 0.7284 0.8912
C2 C 0.2500 0.2716 0.1088
O1 O 0.2500 0.2952 0.9796
O2 O 0.7500 0.9383 0.8230
O3 O 0.7500 0.5441 0.8012
O4 O 0.0570 0.7598 0.6519
O5 O 0.4430 0.7598 0.6519
O6 O 0.7500 0.0712 0.5551
O7 O 0.2500 0.4675 0.4978
O8 O 0.7500 0.5325 0.5022
O9 O 0.2500 0.9288 0.4449
O10 O 0.5570 0.2402 0.3481
O11 O 0.9430 0.2402 0.3481
O12 O 0.2500 0.4559 0.1988
O13 O 0.2500 0.0617 0.1770
O14 O 0.7500 0.7048 0.0204

(5)
# PrAs2Pd3 (GGA-PBE, optimized geometry)
# Uncorrected energy ... -103.89 eV per cell
data_PrAs2Pd3
_space_group_name_H-M_alt 'P 1'
_space_group_IT_number 1
_cell_length_a 4.1775
_cell_length_b 8.6925
_cell_length_c 10.1304
_cell_angle_alpha 107.62
_cell_angle_beta 90.00
_cell_angle_gamma 103.90
loop_
_space_group_symop_operation_xyz
'x,y,z'
loop_
_atom_site_label
_atom_site_type_symbol
_atom_site_fract_x
_atom_site_fract_y
_atom_site_fract_z
Pr1 Pr 0.8455 0.6910 0.2999
Pr2 Pr 0.1545 0.3090 0.7001
Pr3 Pr 0.0000 0.0000 0.0000
As1 As 0.8007 0.6015 0.8694
As2 As 0.1993 0.3985 0.1306
As3 As 0.5383 0.0766 0.7855
As4 As 0.4617 0.9234 0.2145
As5 As 0.6361 0.2722 0.4528
As6 As 0.3639 0.7278 0.5472
Pd1 Pd 0.9570 0.9140 0.6675
Pd2 Pd 0.0430 0.0860 0.3325
Pd3 Pd 0.7797 0.5595 0.6088
Pd4 Pd 0.2203 0.4405 0.3912
Pd5 Pd 0.3768 0.7535 0.7999
Pd6 Pd 0.6232 0.2465 0.2001
Pd7 Pd 0.5000 0.0000 0.5000
Pd8 Pd 0.6800 0.3600 0.9678
Pd9 Pd 0.3200 0.6400 0.0322

(6)
# Cu2O3 (GGA-PBE, optimized geometry)
# Uncorrected energy ... -99.42 eV per cell
data_Cu2O3
_space_group_name_H-M_alt 'P 1'
_space_group_IT_number 1
_cell_length_a 7.1031
_cell_length_b 5.3438
_cell_length_c 7.2415
_cell_angle_alpha 52.70
_cell_angle_beta 90.00
_cell_angle_gamma 90.00
loop_
_space_group_symop_operation_xyz
'x,y,z'
loop_
_atom_site_label
_atom_site_type_symbol
_atom_site_fract_x
_atom_site_fract_y
_atom_site_fract_z
Cu1 Cu 0.0129 0.1206 0.1369
Cu2 Cu 0.4871 0.1206 0.6369
Cu3 Cu 0.2556 0.5069 0.2356
Cu4 Cu 0.7556 0.4931 0.2644
Cu5 Cu 0.2444 0.5069 0.7356
Cu6 Cu 0.7444 0.4931 0.7644
Cu7 Cu 0.5129 0.8794 0.3631
Cu8 Cu 0.9871 0.8794 0.8631
O1 O 0.0771 0.9973 0.4408
O2 O 0.8187 0.4883 0.0160
O3 O 0.4229 0.9973 0.9408
O4 O 0.5064 0.2807 0.3121
O5 O 0.0064 0.7193 0.1879
O6 O 0.6813 0.4883 0.5160
O7 O 0.3187 0.5117 0.4840
O8 O 0.9936 0.2807 0.8121
O9 O 0.4936 0.7193 0.6879
O10 O 0.5771 0.0027 0.0592
O11 O 0.1813 0.5117 0.9840
O12 O 0.9229 0.0027 0.5592

(7)
# ThCo2Si2 (GGA-PBE, optimized geometry)
# Uncorrected energy ... -36.53 eV per cell
data_ThCo2Si2
_space_group_name_H-M_alt 'P 1'
_space_group_IT_number 1
_cell_length_a 4.0389
_cell_length_b 4.0389
_cell_length_c 5.6077
_cell_angle_alpha 111.11
_cell_angle_beta 111.11
_cell_angle_gamma 90.00
loop_
_space_group_symop_operation_xyz
'x,y,z'
loop_
_atom_site_label
_atom_site_type_symbol
_atom_site_fract_x
_atom_site_fract_y
_atom_site_fract_z
Th1 Th 0.0000 0.0000 0.0000
Co1 Co 0.7500 0.2500 0.5000
Co2 Co 0.2500 0.7500 0.5000
Si1 Si 0.6334 0.6334 0.2669
Si2 Si 0.3666 0.3666 0.7331

(8)
# MgH8C4N2O6 (GGA-PBE, optimized geometry)
# Uncorrected energy ... -523.07 eV per cell
data_MgH8C4N2O6
_space_group_name_H-M_alt 'P 1'
_space_group_IT_number 1
_cell_length_a 8.6002
_cell_length_b 8.7700
_cell_length_c 12.6029
_cell_angle_alpha 89.68
_cell_angle_beta 90.00
_cell_angle_gamma 90.00
loop_
_space_group_symop_operation_xyz
'x,y,z'
loop_
_atom_site_label
_atom_site_type_symbol
_atom_site_fract_x
_atom_site_fract_y
_atom_site_fract_z
Mg1 Mg 0.0000 0.0000 0.5000
Mg2 Mg 0.5000 0.0000 0.0000
Mg3 Mg 0.5000 0.5000 0.5000
Mg4 Mg 0.0000 0.5000 0.0000
H1 H 0.1420 0.0051 0.1374
H2 H 0.6420 0.9949 0.3626
H3 H 0.8580 0.9949 0.8626
H4 H 0.3580 0.0051 0.6374
H5 H 0.4486 0.2925 0.1654
H6 H 0.9486 0.7075 0.3346
H7 H 0.5514 0.7075 0.8346
H8 H 0.0514 0.2925 0.6654
H9 H 0.5228 0.2792 0.2978
H10 H 0.0228 0.7208 0.2022
H11 H 0.4772 0.7208 0.7022
H12 H 0.9772 0.2792 0.7978
H13 H 0.0284 0.1701 0.1199
H14 H 0.5284 0.8299 0.3801
H15 H 0.9716 0.8299 0.8801
H16 H 0.4716 0.1701 0.6199
H17 H 0.2019 0.7006 0.4548
H18 H 0.7019 0.2994 0.0452
H19 H 0.7981 0.2994 0.5452
H20 H 0.2981 0.7006 0.9548
H21 H 0.3702 0.5400 0.1888
H22 H 0.8702 0.4600 0.3112
H23 H 0.6298 0.4600 0.8112
H24 H 0.1298 0.5400 0.6888
H25 H 0.2806 0.2141 0.4209
H26 H 0.7806 0.7859 0.0791
H27 H 0.7194 0.7859 0.5791
H28 H 0.2194 0.2141 0.9209
H29 H 0.9398 0.1803 0.2877
H30 H 0.4398 0.8197 0.2123
H31 H 0.0602 0.8197 0.7123
H32 H 0.5602 0.1803 0.7877
C1 C 0.2700 0.7668 0.5132
C2 C 0.7700 0.2332 0.9868
C3 C 0.7300 0.2332 0.4868
C4 C 0.2300 0.7668 0.0132
C5 C 0.2248 0.2723 0.4892
C6 C 0.7248 0.7277 0.0108
C7 C 0.7752 0.7277 0.5108
C8 C 0.2752 0.2723 0.9892
C9 C 0.0207 0.0867 0.2687
C10 C 0.5207 0.9133 0.2313
C11 C 0.9793 0.9133 0.7313
C12 C 0.4793 0.0867 0.7687
C13 C 0.4260 0.4825 0.2571
C14 C 0.9260 0.5175 0.2429
C15 C 0.5740 0.5175 0.7429
C16 C 0.0740 0.4825 0.7571
N1 N 0.0656 0.0842 0.1681
N2 N 0.5656 0.9158 0.3319
N3 N 0.9344 0.9158 0.8319
N4 N 0.4344 0.0842 0.6681
N5 N 0.4697 0.3403 0.2386
N6 N 0.9697 0.6597 0.2614
N7 N 0.5303 0.6597 0.7614
N8 N 0.0303 0.3403 0.7386
O1 O 0.2133 0.8922 0.5453
O2 O 0.7133 0.1078 0.9547
O3 O 0.7867 0.1078 0.4547
O4 O 0.2867 0.8922 0.0453
O5 O 0.1011 0.2126 0.5264
O6 O 0.6011 0.7874 0.9736
O7 O 0.8989 0.7874 0.4736
O8 O 0.3989 0.2126 0.0264
O9 O 0.0625 0.9925 0.3386
O10 O 0.5625 0.0075 0.1614
O11 O 0.9375 0.0075 0.6614
O12 O 0.4375 0.9925 0.8386
O13 O 0.2882 0.3909 0.5251
O14 O 0.7882 0.6091 0.9749
O15 O 0.7118 0.6091 0.4749
O16 O 0.2118 0.3909 0.0251
O17 O 0.3995 0.7121 0.5438
O18 O 0.8995 0.2879 0.9562
O19 O 0.6005 0.2879 0.4562
O20 O 0.1005 0.7121 0.0438
O21 O 0.4425 0.5526 0.3431
O22 O 0.9425 0.4474 0.1569
O23 O 0.5575 0.4474 0.6569
O24 O 0.0575 0.5526 0.8431

(9)
# KBeP3O9 (GGA-PBE, optimized geometry)
# Uncorrected energy ... -392.10 eV per cell
data_KBeP3O9
_space_group_name_H-M_alt 'P 1'
_space_group_IT_number 1
_cell_length_a 7.9686
_cell_length_b 8.7413
_cell_length_c 11.5753
_cell_angle_alpha 90.00
_cell_angle_beta 90.00
_cell_angle_gamma 90.00
loop_
_space_group_symop_operation_xyz
'x,y,z'
loop_
_atom_site_label
_atom_site_type_symbol
_atom_site_fract_x
_atom_site_fract_y
_atom_site_fract_z
K1 K 0.5021 0.2046 0.0670
K2 K 0.0021 0.2954 0.9330
K3 K 0.4979 0.7046 0.4330
K4 K 0.9979 0.7954 0.5670
Be1 Be 0.6802 0.2903 0.3727
Be2 Be 0.1802 0.2097 0.6273
Be3 Be 0.3198 0.7903 0.1273
Be4 Be 0.8198 0.7097 0.8727
P1 P 0.8100 0.0024 0.2986
P2 P 0.8186 0.4945 0.2034
P3 P 0.1900 0.5024 0.2014
P4 P 0.6814 0.5055 0.7034
P5 P 0.3100 0.4976 0.7014
P6 P 0.1916 0.7073 0.8825
P7 P 0.8084 0.2073 0.6175
P8 P 0.6900 0.9976 0.7986
P9 P 0.3186 0.0055 0.7966
P10 P 0.1814 0.9945 0.2966
P11 P 0.6916 0.7927 0.1175
P12 P 0.3084 0.2927 0.3825
O1 O 0.7395 0.2458 0.5018
O2 O 0.2146 0.9000 0.4006
O3 O 0.0143 0.6486 0.8739
O4 O 0.7146 0.6000 0.5994
O5 O 0.7054 0.6502 0.2039
O6 O 0.9970 0.0730 0.2983
O7 O 0.2605 0.7458 0.9982
O8 O 0.4970 0.4270 0.7017
O9 O 0.2077 0.9295 0.1771
O10 O 0.8113 0.9209 0.1716
O11 O 0.6940 0.1394 0.2886
O12 O 0.3060 0.6394 0.2114
O13 O 0.7826 0.8887 0.3921
O14 O 0.8060 0.8606 0.7886
O15 O 0.1887 0.4209 0.3284
O16 O 0.7854 0.4000 0.0994
O17 O 0.2854 0.1000 0.9006
O18 O 0.2946 0.1502 0.2961
O19 O 0.7174 0.1113 0.8921
O20 O 0.1940 0.3606 0.7114
O21 O 0.2395 0.2542 0.4982
O22 O 0.2826 0.6113 0.6079
O23 O 0.7605 0.7542 0.0018
O24 O 0.7923 0.4295 0.3229
O25 O 0.0030 0.5730 0.2017
O26 O 0.6887 0.0791 0.6716
O27 O 0.5143 0.8514 0.1261
O28 O 0.3113 0.5791 0.8284
O29 O 0.4857 0.3514 0.3739
O30 O 0.2174 0.3887 0.1079
O31 O 0.2054 0.8498 0.7961
O32 O 0.7946 0.3498 0.7039
O33 O 0.5030 0.9270 0.7983
O34 O 0.2923 0.0705 0.6771
O35 O 0.7077 0.5705 0.8229
O36 O 0.9857 0.1486 0.6261

(10)
# SiAs3 (GGA-PBE, optimized geometry)
# Uncorrected energy ... -36.04 eV per cell
# Relative energy among the computed polymorphs ... 0 meV per atom
data_SiAs3
_space_group_name_H-M_alt 'P 1'
_space_group_IT_number 1
_cell_length_a 8.1078
_cell_length_b 8.1078
_cell_length_c 4.3484
_cell_angle_alpha 90.00
_cell_angle_beta 90.00
_cell_angle_gamma 120.00
loop_
_space_group_symop_operation_xyz
'x,y,z'
loop_
_atom_site_label
_atom_site_type_symbol
_atom_site_fract_x
_atom_site_fract_y
_atom_site_fract_z
Si1 Si 0.3333 0.6667 0.7500
Si2 Si 0.6667 0.3333 0.2500
As1 As 0.2310 0.4620 0.2500
As2 As 0.5380 0.7690 0.2500
As3 As 0.2310 0.7690 0.2500
As4 As 0.7690 0.5380 0.7500
As5 As 0.4620 0.2310 0.7500
As6 As 0.7690 0.2310 0.7500

(11)
# Ca2AlSnO5 (GGA-PBE, optimized geometry)
# Uncorrected energy ... -118.03 eV per cell
data_Ca2AlSnO5
_space_group_name_H-M_alt 'P 1'
_space_group_IT_number 1
_cell_length_a 5.6972
_cell_length_b 6.0895
_cell_length_c 8.4477
_cell_angle_alpha 110.71
_cell_angle_beta 108.45
_cell_angle_gamma 91.11
loop_
_space_group_symop_operation_xyz
'x,y,z'
loop_
_atom_site_label
_atom_site_type_symbol
_atom_site_fract_x
_atom_site_fract_y
_atom_site_fract_z
Ca1 Ca 0.0814 0.6543 0.2372
Ca2 Ca 0.4266 0.9247 0.7634
Ca3 Ca 0.8998 0.3343 0.7605
Ca4 Ca 0.6565 0.0733 0.2433
Al1 Al 0.2815 0.3317 0.5099
Al2 Al 0.7766 0.6617 0.4941
Sn1 Sn 0.5005 0.5019 0.0000
Sn2 Sn 0.0249 0.0019 0.0053
O1 O 0.5878 0.4115 0.4944
O2 O 0.0946 0.5778 0.5099
O3 O 0.6668 0.7097 0.2903
O4 O 0.3247 0.2829 0.7121
O5 O 0.1102 0.0688 0.3316
O6 O 0.7757 0.9258 0.6703
O7 O 0.3494 0.7992 0.9744
O8 O 0.1954 0.3691 0.0303
O9 O 0.6831 0.2225 0.0340
O10 O 0.8023 0.6445 0.9656

(12)
# Ir3Se8 (GGA-PBE, optimized geometry)
# Uncorrected energy ... -57.72 eV per cell
data_Ir3Se8
_space_group_name_H-M_alt 'P 1'
_space_group_IT_number 1
_cell_length_a 6.0613
_cell_length_b 6.0613
_cell_length_c 6.0613
_cell_angle_alpha 90.49
_cell_angle_beta 90.49
_cell_angle_gamma 90.49
loop_
_space_group_symop_operation_xyz
'x,y,z'
loop_
_atom_site_label
_atom_site_type_symbol
_atom_site_fract_x
_atom_site_fract_y
_atom_site_fract_z
Ir1 Ir 0.5000 0.0000 0.5000
Ir2 Ir 0.0000 0.5000 0.5000
Ir3 Ir 0.5000 0.5000 0.0000
Se1 Se 0.6178 0.8840 0.1213
Se2 Se 0.8840 0.1213 0.6178
Se3 Se 0.1213 0.6178 0.8840
Se4 Se 0.6252 0.6252 0.6252
Se5 Se 0.3748 0.3748 0.3748
Se6 Se 0.8787 0.3822 0.1160
Se7 Se 0.1160 0.8787 0.3822
Se8 Se 0.3822 0.1160 0.8787